# 1
Entry from the Materials Project database: a geometry-optimized MgSi2 structure (PBE).

Values from the calculation:
Energy above the lowest structure with this stoichiometry = 0.073 eV/atom
Magnetization = 0.001 μB/f.u.

```
data_MgSi2
_symmetry_space_group_name_H-M 'P 1'
_symmetry_Int_Tables_number 1
_symmetry_space_group_name_Hall 'P 1'
_cell_length_a 3.695
_cell_length_b 5.351
_cell_length_c 11.820
_cell_angle_alpha 86.39
_cell_angle_beta 86.70
_cell_angle_gamma 86.26
loop_
_atom_site_label
_atom_site_fract_x
_atom_site_fract_y
_atom_site_fract_z
Mg1 0.000 0.000 0.000
Mg2 0.101 0.531 0.823
Mg3 0.453 0.190 0.214
Mg4 0.580 0.827 0.587
Si1 0.010 0.479 0.059
Si2 0.049 0.092 0.724
Si3 0.139 0.417 0.580
Si4 0.479 0.693 0.136
Si5 0.487 0.690 0.340
Si6 0.546 0.926 0.826
Si7 0.673 0.325 0.462
Si8 0.945 0.959 0.370
```


# 2
Entry from the Materials Project database: a geometry-optimized LiCu3 structure (PBE).

```
data_LiCu3
_symmetry_space_group_name_H-M 'F m -3 m'
_symmetry_Int_Tables_number 225
_symmetry_space_group_name_Hall '-F 4 2 3'
_cell_length_a 5.758
_cell_length_b 5.758
_cell_length_c 5.758
_cell_angle_alpha 90.00
_cell_angle_beta 90.00
_cell_angle_gamma 90.00
loop_
_atom_site_label
_atom_site_fract_x
_atom_site_fract_y
_atom_site_fract_z
Li1 0.000 0.000 0.000
Cu1 0.000 0.000 0.500
Cu2 0.250 0.250 0.250
```


# 3
Entry from the Materials Project database: a geometry-optimized NaCa3ScZn3Si8O24 structure (PBE).

Values from the calculation:
Magnetization = 0.000 μB/f.u.

```
data_NaCa3ScZn3Si8O24
_symmetry_space_group_name_H-M 'P 1 2/c 1'
_symmetry_Int_Tables_number 13
_symmetry_space_group_name_Hall '-P 2yc'
_cell_length_a 5.337
_cell_length_b 18.131
_cell_length_c 9.926
_cell_angle_alpha 90.00
_cell_angle_beta 105.00
_cell_angle_gamma 90.00
loop_
_atom_site_label
_atom_site_fract_x
_atom_site_fract_y
_atom_site_fract_z
Na1 0.000 0.028 0.250
Ca1 0.000 0.476 0.750
Ca2 0.500 0.225 0.250
Ca3 0.500 0.276 0.750
Sc1 0.500 0.074 0.750
Zn1 0.000 0.174 0.750
Zn2 0.000 0.327 0.250
Zn3 0.500 0.422 0.250
Si1 0.197 0.330 0.964
Si2 0.200 0.171 0.462
Si3 0.299 0.080 0.036
Si4 0.303 0.422 0.535
O1 0.094 0.134 0.096
O2 0.098 0.367 0.598
O3 0.210 0.253 0.885
O4 0.212 0.249 0.388
O5 0.221 0.420 0.366
O6 0.223 0.083 0.867
O7 0.279 0.330 0.133
O8 0.285 0.168 0.633
O9 0.287 0.500 0.112
O10 0.298 0.001 0.111
O11 0.402 0.384 0.902
O12 0.409 0.119 0.401
```


# 4
Entry from the Materials Project database: a geometry-optimized Te3MoWS structure (PBE).

Values from the calculation:
Energy above the lowest structure with this stoichiometry = 0.000 eV/atom
Magnetization = 0.002 μB/f.u.

```
data_Te3MoWS
_symmetry_space_group_name_H-M 'P 3 m 1'
_symmetry_Int_Tables_number 156
_symmetry_space_group_name_Hall 'P 3 -2"'
_cell_length_a 3.4521
_cell_length_b 3.4521
_cell_length_c 39.4480
_cell_angle_alpha 90.00
_cell_angle_beta 90.00
_cell_angle_gamma 120.00
loop_
_atom_site_label
_atom_site_fract_x
_atom_site_fract_y
_atom_site_fract_z
Te1 0.0000 0.0000 0.0000
Te2 0.0000 0.0000 0.0939
Te3 0.0000 0.0000 0.3758
Te4 0.0000 0.0000 0.4697
Te5 0.6667 0.3333 0.1877
Te6 0.6667 0.3333 0.2821
Mo1 0.6667 0.3333 0.0469
Mo2 0.6667 0.3333 0.4227
W1 0.0000 0.0000 0.2348
W2 0.0000 0.0000 0.6106
S1 0.6667 0.3333 0.5728
S2 0.6667 0.3333 0.6484
```


# 5
Entry from the Materials Project database: a geometry-optimized EuSbPt structure (PBE).

```
data_EuSbPt
_symmetry_space_group_name_H-M 'P n m a'
_symmetry_Int_Tables_number 62
_symmetry_space_group_name_Hall '-P 2ac 2n'
_cell_length_a 7.590
_cell_length_b 4.680
_cell_length_c 8.009
_cell_angle_alpha 90.00
_cell_angle_beta 90.00
_cell_angle_gamma 90.00
loop_
_atom_site_label
_atom_site_fract_x
_atom_site_fract_y
_atom_site_fract_z
Eu1 0.009 0.250 0.196
Sb1 0.184 0.250 0.590
Pt1 0.195 0.750 0.414
```


# 6
Entry from the Materials Project database: a geometry-optimized HgOF structure (PBE).

Values from the calculation:
Magnetization = 0.001 μB/f.u.

```
data_HgOF
_symmetry_space_group_name_H-M 'P 21 21 21'
_symmetry_Int_Tables_number 19
_symmetry_space_group_name_Hall 'P 2ac 2ab'
_cell_length_a 4.741
_cell_length_b 5.228
_cell_length_c 7.264
_cell_angle_alpha 90.00
_cell_angle_beta 90.00
_cell_angle_gamma 90.00
loop_
_atom_site_label
_atom_site_fract_x
_atom_site_fract_y
_atom_site_fract_z
Hg1 0.219 0.032 0.122
O1 0.110 0.809 0.368
F1 0.080 0.711 0.884
```


| no. | energy of formation from the pure elements (eV per atom) |
| --- | --- |
| 1 | 0.150 |
| 2 | -0.018 |
| 3 | -3.104 |
| 4 | -0.383 |
| 5 | -1.017 |
| 6 | -0.911 |